[1]
PuN | GGA-PBE | relaxed

```
data_PuN
_chemical_formula_sum 'Pu1 N1'
_symmetry_space_group_name_H-M 'P 1'
_symmetry_Int_Tables_number 1
_symmetry_space_group_name_Hall 'P 1'
_cell_length_a 3.494
_cell_length_b 3.494
_cell_length_c 3.494
_cell_angle_alpha 60.00
_cell_angle_beta 60.00
_cell_angle_gamma 60.00
loop_
_atom_site_label
_atom_site_fract_x
_atom_site_fract_y
_atom_site_fract_z
Pu1 0.000 0.000 0.000
N1 0.500 0.500 0.500
```

Results
* symmetry: Fm-3m (225)
* crystal system: cubic
* formation energy: -1.466 eV/atom



[2]
PuU4N5 | GGA-PBE | relaxed

```
data_PuU4N5
_chemical_formula_sum 'Pu1 U4 N5'
_symmetry_space_group_name_H-M 'P 1'
_symmetry_Int_Tables_number 1
_symmetry_space_group_name_Hall 'P 1'
_cell_length_a 12.433
_cell_length_b 12.433
_cell_length_c 12.433
_cell_angle_alpha 164.10
_cell_angle_beta 164.10
_cell_angle_gamma 22.57
loop_
_atom_site_label
_atom_site_fract_x
_atom_site_fract_y
_atom_site_fract_z
Pu1 0.500 0.500 0.000
U1 0.901 0.901 0.000
U2 0.300 0.300 0.000
U3 0.700 0.700 0.000
U4 0.099 0.099 0.000
N1 0.200 0.200 0.000
N2 0.399 0.399 0.000
N3 0.800 0.800 0.000
N4 0.601 0.601 0.000
N5 0.000 0.000 0.000
```

Results
* symmetry: I4/mmm (139)
* M_tot: 5.09 μB per formula unit
* crystal system: tetragonal
* formation energy: -1.347 eV/atom



[3]
Rb6ReN4 | GGA-PBE | relaxed

```
data_Rb6ReN4
_chemical_formula_sum 'Rb12 Re2 N8'
_symmetry_space_group_name_H-M 'P 1'
_symmetry_Int_Tables_number 1
_symmetry_space_group_name_Hall 'P 1'
_cell_length_a 8.803
_cell_length_b 8.803
_cell_length_c 7.504
_cell_angle_alpha 90.00
_cell_angle_beta 90.00
_cell_angle_gamma 90.00
loop_
_atom_site_label
_atom_site_fract_x
_atom_site_fract_y
_atom_site_fract_z
Rb1 0.000 0.500 0.749
Rb2 0.500 0.000 0.751
Rb3 0.500 0.000 0.251
Rb4 0.000 0.500 0.249
Rb5 0.213 0.213 0.500
Rb6 0.787 0.787 0.500
Rb7 0.713 0.713 0.000
Rb8 0.287 0.287 0.000
Rb9 0.787 0.213 0.500
Rb10 0.213 0.787 0.500
Rb11 0.287 0.713 0.000
Rb12 0.713 0.287 0.000
Re1 0.500 0.500 0.500
Re2 0.000 0.000 0.000
N1 0.324 0.500 0.361
N2 0.676 0.500 0.361
N3 0.824 0.000 0.139
N4 0.176 0.000 0.139
N5 0.500 0.324 0.639
N6 0.500 0.676 0.639
N7 0.000 0.824 0.861
N8 0.000 0.176 0.861
```

Results
* symmetry: P4_2/nmc (137)
* M_tot: 0.01 μB per formula unit
* crystal system: tetragonal
* formation energy: -0.083 eV/atom



[4]
RbSbN2 | GGA-PBE | relaxed

```
data_RbSbN2
_chemical_formula_sum 'Rb16 Sb16 N32'
_symmetry_space_group_name_H-M 'P 1'
_symmetry_Int_Tables_number 1
_symmetry_space_group_name_Hall 'P 1'
_cell_length_a 6.069
_cell_length_b 12.139
_cell_length_c 17.154
_cell_angle_alpha 90.00
_cell_angle_beta 90.00
_cell_angle_gamma 90.00
loop_
_atom_site_label
_atom_site_fract_x
_atom_site_fract_y
_atom_site_fract_z
Rb1 0.255 0.012 0.438
Rb2 0.755 0.488 0.562
Rb3 0.745 0.512 0.062
Rb4 0.245 0.988 0.938
Rb5 0.745 0.988 0.562
Rb6 0.245 0.512 0.438
Rb7 0.255 0.488 0.938
Rb8 0.755 0.012 0.062
Rb9 0.300 0.261 0.316
Rb10 0.800 0.239 0.684
Rb11 0.700 0.761 0.184
Rb12 0.200 0.739 0.816
Rb13 0.700 0.739 0.684
Rb14 0.200 0.761 0.316
Rb15 0.300 0.239 0.816
Rb16 0.800 0.261 0.184
Sb1 0.765 0.006 0.312
Sb2 0.265 0.494 0.688
Sb3 0.235 0.506 0.188
Sb4 0.735 0.994 0.812
Sb5 0.235 0.994 0.688
Sb6 0.735 0.506 0.312
Sb7 0.765 0.494 0.812
Sb8 0.265 0.006 0.188
Sb9 0.781 0.259 0.436
Sb10 0.281 0.241 0.564
Sb11 0.219 0.759 0.064
Sb12 0.719 0.741 0.936
Sb13 0.219 0.741 0.564
Sb14 0.719 0.759 0.436
Sb15 0.781 0.241 0.936
Sb16 0.281 0.259 0.064
N1 0.055 0.310 0.493
N2 0.555 0.190 0.507
N3 0.945 0.810 0.007
N4 0.445 0.690 0.993
N5 0.945 0.690 0.507
N6 0.445 0.810 0.493
N7 0.055 0.190 0.993
N8 0.555 0.310 0.007
N9 0.652 0.403 0.399
N10 0.152 0.097 0.601
N11 0.348 0.903 0.101
N12 0.848 0.597 0.899
N13 0.348 0.597 0.601
N14 0.848 0.903 0.399
N15 0.652 0.097 0.899
N16 0.152 0.403 0.101
N17 0.857 0.160 0.345
N18 0.357 0.340 0.655
N19 0.143 0.660 0.155
N20 0.643 0.840 0.845
N21 0.143 0.840 0.655
N22 0.643 0.660 0.345
N23 0.857 0.340 0.845
N24 0.357 0.160 0.155
N25 0.554 0.476 0.215
N26 0.054 0.024 0.785
N27 0.446 0.976 0.285
N28 0.946 0.524 0.715
N29 0.446 0.524 0.785
N30 0.946 0.976 0.215
N31 0.554 0.024 0.715
N32 0.054 0.476 0.285
```

Results
* symmetry: Pbca (61)
* M_tot: 0.00 μB per formula unit
* crystal system: orthorhombic
* formation energy: 0.092 eV/atom